Here is crystalline Na2VAgF6 at its relaxed geometry from Materials Project. Energies are from PBE+U.

Lattice parameters (Å, degrees): 6.0893 6.0893 6.0893 60.00 60.00 60.00
Fractional positions:
F 0.7741 0.2259 0.7741
F 0.2259 0.7741 0.2259
F 0.7741 0.2259 0.2259
F 0.2259 0.7741 0.7741
F 0.7741 0.7741 0.2259
F 0.2259 0.2259 0.7741
V 0.0000 0.0000 0.0000
Na 0.7500 0.7500 0.7500
Na 0.2500 0.2500 0.2500
Ag 0.5000 0.5000 0.5000

The value obtained for the electronic total energy is -4.681 eV/atom. The total moment comes out at 0.2000 μB/atom. The space group is No. 225.